# MnCoSb

An optimized crystal structure of MnCoSb (PBE, the Materials Project).

Cell: 4.119 4.119 4.119 Å, 60.00 60.00 60.00°
Element x y z (fractional)
Mn (0.500, 0.500, 0.500)
Co (0.750, 0.750, 0.750)
Sb (0.000, 0.000, 0.000)

Computed properties:
formation enthalpy at 0 K: -0.1693 eV/atom
E (MP2020): -6.969 eV/atom
SG: F-43m (216)